1.
A plane-wave DFT calculation with PBE+U was carried out for Eu2CrSbO6 after structural relaxation.

Calculated values
V: 12.87 A^3/atom
Formation energy from the elements: -2533 kJ/mol of formula units
Total energy: -8.4117 eV/atom

Lattice parameters (Å, degrees): 8.0146 8.0146 8.0146 90.00 90.00 90.00
Space group Fm-3m (No. 225)
Unique sites:
Eu 0.2500 0.2500 0.2500 (multiplicity 8)
Cr 0.0000 0.0000 0.0000 (multiplicity 4)
Sb 0.0000 0.0000 0.5000 (multiplicity 4)
O 0.0000 0.0000 0.2516 (multiplicity 24)

***

2.
A plane-wave DFT calculation with PBE+U was carried out for SmEuZrCrO6 after structural relaxation.

Calculated values
V: 13.11 A^3/atom
Formation energy from the elements: -3094 kJ/mol of formula units
Total energy: -8.8813 eV/atom

Lattice parameters (Å, degrees): 8.0633 8.0633 8.0633 90.00 90.00 90.00
Space group F-43m (No. 216)
Unique sites:
Sm 0.0000 0.0000 0.0000 (multiplicity 4)
Eu 0.0000 0.0000 0.5000 (multiplicity 4)
Zr 0.2500 0.2500 0.2500 (multiplicity 4)
Cr 0.2500 0.2500 0.7500 (multiplicity 4)
O 0.0060 0.2500 0.7500 (multiplicity 24)

***

3.
A plane-wave DFT calculation with PBE+U was carried out for Eu2CrSnO6 after structural relaxation.

Calculated values
V: 12.80 A^3/atom
Formation energy from the elements: -2566 kJ/mol of formula units
Total energy: -8.4342 eV/atom

Lattice parameters (Å, degrees): 8.0008 8.0008 8.0008 90.00 90.00 90.00
Space group Fm-3m (No. 225)
Unique sites:
Eu 0.2500 0.2500 0.2500 (multiplicity 8)
Cr 0.0000 0.0000 0.0000 (multiplicity 4)
Sn 0.0000 0.0000 0.5000 (multiplicity 4)
O 0.0000 0.0000 0.2461 (multiplicity 24)

***

4.
A plane-wave DFT calculation with PBE+U was carried out for SrEuCrWO6 after structural relaxation.

Calculated values
V: 12.73 A^3/atom
Formation energy from the elements: -2582 kJ/mol of formula units
Total energy: -8.0444 eV/atom

Lattice parameters (Å, degrees): 7.9844 7.9844 7.9844 90.00 90.00 90.00
Space group F-43m (No. 216)
Unique sites:
Sr 0.0000 0.0000 0.0000 (multiplicity 4)
Eu 0.0000 0.0000 0.5000 (multiplicity 4)
Cr 0.2500 0.2500 0.2500 (multiplicity 4)
W 0.2500 0.2500 0.7500 (multiplicity 4)
O 0.9997 0.2500 0.2500 (multiplicity 24)

***

5.
A plane-wave DFT calculation with PBE+U was carried out for SrEuYCrO6 after structural relaxation.

Calculated values
V: 13.77 A^3/atom
Formation energy from the elements: -2800 kJ/mol of formula units
Total energy: -8.0651 eV/atom

Lattice parameters (Å, degrees): 8.1967 8.1967 8.1967 90.00 90.00 90.00
Space group F-43m (No. 216)
Unique sites:
Sr 0.0000 0.0000 0.0000 (multiplicity 4)
Eu 0.0000 0.0000 0.5000 (multiplicity 4)
Y 0.2500 0.2500 0.2500 (multiplicity 4)
Cr 0.2500 0.2500 0.7500 (multiplicity 4)
O 0.0171 0.2500 0.7500 (multiplicity 24)

***

6.
A plane-wave DFT calculation with PBE+U was carried out for SrEuZrCrO6 after structural relaxation.

Calculated values
V: 13.12 A^3/atom
Formation energy from the elements: -3024 kJ/mol of formula units
Total energy: -8.5058 eV/atom

Lattice parameters (Å, degrees): 8.0659 8.0659 8.0659 90.00 90.00 90.00
Space group F-43m (No. 216)
Unique sites:
Sr 0.0000 0.0000 0.0000 (multiplicity 4)
Eu 0.0000 0.0000 0.5000 (multiplicity 4)
Zr 0.2500 0.2500 0.2500 (multiplicity 4)
Cr 0.2500 0.2500 0.7500 (multiplicity 4)
O 0.0080 0.2500 0.7500 (multiplicity 24)

***

Repeat the second record exactly.
A plane-wave DFT calculation with PBE+U was carried out for SmEuZrCrO6 after structural relaxation.

Calculated values
V: 13.11 A^3/atom
Formation energy from the elements: -3094 kJ/mol of formula units
Total energy: -8.8813 eV/atom

Lattice parameters (Å, degrees): 8.0633 8.0633 8.0633 90.00 90.00 90.00
Space group F-43m (No. 216)
Unique sites:
Sm 0.0000 0.0000 0.0000 (multiplicity 4)
Eu 0.0000 0.0000 0.5000 (multiplicity 4)
Zr 0.2500 0.2500 0.2500 (multiplicity 4)
Cr 0.2500 0.2500 0.7500 (multiplicity 4)
O 0.0060 0.2500 0.7500 (multiplicity 24)